*P*
Compound: MgZn2Cr2O8
Source: the Materials Project
Functional: PBE with a Hubbard U
Structure: relaxed

The calculation puts the spin magnetization at 2.0 μB per formula unit.

POSCAR file:
```
MgZn2Cr2O8
1.0
4.445 -2.825 0.000
4.445 2.825 0.000
-0.435 0.000 6.283
Mg Zn Cr O
1 2 2 8
direct
0.000 0.000 0.000
0.500 0.500 0.000
0.500 0.500 0.500
0.172 0.172 0.705
0.828 0.828 0.295
0.201 0.732 0.246
0.262 0.262 0.484
0.268 0.799 0.754
0.269 0.269 0.942
0.731 0.731 0.058
0.732 0.201 0.246
0.738 0.738 0.516
0.799 0.268 0.754
```

*Q*
Compound: MgZn2Cr2O8
Source: the Materials Project
Functional: PBE with a Hubbard U
Structure: relaxed

The calculation puts the spin magnetization at 2.0 μB per formula unit.

POSCAR file:
```
MgZn2Cr2O8
1.0
6.378 0.000 0.000
0.000 2.866 4.325
0.000 -2.866 4.325
Mg Zn Cr O
1 2 2 8
direct
0.000 0.000 0.000
0.255 0.338 0.338
0.745 0.338 0.338
0.000 0.680 0.680
0.500 0.980 0.980
0.000 0.061 0.588
0.000 0.588 0.061
0.218 0.578 0.578
0.278 0.101 0.101
0.500 0.124 0.622
0.500 0.622 0.124
0.722 0.101 0.101
0.782 0.578 0.578
```

Relative to the most stable structure, the computed energies are *P* 163; *Q* 0, all in meV per atom.

*P*
Compound: Mn2CrO4
Source: the Materials Project
Functional: PBE with a Hubbard U
Structure: relaxed

POSCAR file:
```
Mn2CrO4
1.0
4.194 -4.280 0.000
4.194 4.280 0.000
-4.115 0.000 4.486
Mn Cr O
4 2 8
direct
0.120 0.880 0.500
0.501 0.999 0.251
0.880 0.120 0.000
0.999 0.501 0.751
0.499 0.500 0.750
0.500 0.499 0.250
0.246 0.719 0.753
0.263 0.294 0.794
0.282 0.752 0.248
0.294 0.263 0.294
0.705 0.735 0.206
0.719 0.246 0.253
0.735 0.705 0.706
0.752 0.282 0.748
```

*Q*
Compound: Mn2CrO4
Source: the Materials Project
Functional: PBE with a Hubbard U
Structure: relaxed

The calculation puts the spin magnetization at 12.0 μB per formula unit.

POSCAR file:
```
Mn2CrO4
1.0
4.232 -4.335 0.000
4.232 4.335 0.000
-4.210 0.000 4.305
Mn Cr O
4 2 8
direct
0.000 0.500 0.000
0.126 0.874 0.750
0.500 0.000 0.500
0.874 0.126 0.250
0.500 0.500 0.000
0.500 0.500 0.500
0.264 0.733 0.022
0.267 0.736 0.478
0.273 0.283 0.032
0.283 0.273 0.532
0.717 0.727 0.468
0.727 0.717 0.968
0.733 0.264 0.522
0.736 0.267 0.978
```

*R*
Compound: Mn2CrO4
Source: the Materials Project
Functional: PBE with a Hubbard U
Structure: relaxed

POSCAR file:
```
Mn2CrO4
1.0
6.051 0.000 0.000
2.911 5.336 0.000
2.793 1.465 10.026
Mn Cr O
8 4 16
direct
0.000 0.000 0.000
0.000 0.000 0.500
0.065 0.562 0.312
0.261 0.738 0.750
0.430 0.944 0.188
0.570 0.056 0.812
0.739 0.262 0.250
0.935 0.438 0.688
0.000 0.500 0.000
0.500 0.000 0.500
0.500 0.500 0.000
0.500 0.500 0.500
0.083 0.153 0.117
0.134 0.642 0.104
0.142 0.104 0.609
0.159 0.627 0.626
0.355 0.387 0.891
0.366 0.858 0.396
0.380 0.833 0.874
0.408 0.345 0.384
0.592 0.655 0.616
0.620 0.167 0.126
0.634 0.142 0.604
0.645 0.613 0.109
0.841 0.373 0.374
0.858 0.896 0.391
0.866 0.358 0.896
0.917 0.847 0.883
```

Relative to the most stable structure, the computed energies are *P* 0; *Q* 28; *R* 11, all in meV per atom.